A plane-wave DFT calculation with GGA+U was carried out for LiFeP4O12 after structural relaxation.

Cell lengths 5.243, 13.718, 7.354 Å; angles 90.00, 98.16, 90.00 degrees
Space group P2_1 (No. 4)
Symmetry-distinct sites (fractional):
Li 0.138 0.000 0.114 x2
Fe 0.007 0.227 0.504 x2
P 0.280 0.812 0.884 x2
P 0.356 0.168 0.896 x2
P 0.478 0.589 0.444 x2
P 0.493 0.367 0.446 x2
O 0.124 0.737 0.765 x2
O 0.127 0.209 0.772 x2
O 0.148 0.894 0.961 x2
O 0.209 0.601 0.489 x2
O 0.224 0.352 0.490 x2
O 0.290 0.810 0.443 x2
O 0.310 0.150 0.452 x2
O 0.315 0.110 0.059 x2
O 0.426 0.979 0.517 x2
O 0.453 0.758 0.052 x2
O 0.473 0.602 0.226 x2
O 0.496 0.353 0.230 x2

Values from the calculation:
- Relative energy among the computed polymorphs: 38 meV/atom
- Magnetic moment: 10.00 Bohr magnetons per cell
- Calculated volume: 523.5 Å³/cell
- Energy of formation from the pure elements: -2.5118 eV per atom